1.
# FeSe3O8

Crystalline FeSe3O8 at its relaxed geometry (GGA+U, Materials Project).

Cell and atoms, written as POSCAR:
```
FeSe3O8
1.0
13.402 0.000 0.000
0.000 7.515 0.000
0.000 7.151 7.780
Fe Se O
4 12 32
Direct
0.181 0.870 0.940
0.681 0.130 0.560
0.819 0.130 0.060
0.319 0.870 0.440
0.364 0.007 0.068
0.864 0.993 0.432
0.636 0.993 0.932
0.136 0.007 0.568
0.201 0.334 0.054
0.701 0.666 0.446
0.799 0.666 0.946
0.299 0.334 0.554
0.999 0.669 0.239
0.499 0.331 0.261
0.001 0.331 0.761
0.501 0.669 0.739
0.400 0.897 0.265
0.900 0.103 0.235
0.600 0.103 0.735
0.100 0.897 0.765
0.257 0.847 0.116
0.757 0.153 0.384
0.743 0.153 0.884
0.243 0.847 0.616
0.313 0.303 0.970
0.813 0.697 0.530
0.687 0.697 0.030
0.187 0.303 0.470
0.209 0.089 0.270
0.709 0.911 0.230
0.791 0.911 0.730
0.291 0.089 0.770
0.248 0.567 0.027
0.748 0.433 0.473
0.752 0.433 0.973
0.252 0.567 0.527
0.898 0.845 0.114
0.398 0.155 0.386
0.102 0.155 0.886
0.602 0.845 0.614
0.068 0.646 0.114
0.568 0.354 0.386
0.932 0.354 0.886
0.432 0.646 0.614
0.962 0.391 0.409
0.462 0.609 0.091
0.038 0.609 0.591
0.538 0.391 0.909
```

## Properties
- Space-group type: No. 14
- Crystal system: monoclinic

2.
# V3P6WO24

Crystalline V3P6WO24 at its relaxed geometry (GGA+U, Materials Project).

Cell and atoms, written as POSCAR:
```
V3P6WO24
1.0
7.676 -4.308 0.000
7.676 4.308 0.000
5.258 0.000 7.059
V P W O
3 6 1 24
Direct
0.142 0.142 0.142
0.359 0.359 0.359
0.642 0.642 0.642
0.036 0.459 0.749
0.459 0.749 0.036
0.749 0.036 0.459
0.258 0.967 0.528
0.528 0.258 0.967
0.967 0.528 0.258
0.859 0.859 0.859
0.139 0.509 0.277
0.277 0.139 0.509
0.062 0.286 0.925
0.509 0.277 0.139
0.216 0.441 0.576
0.001 0.638 0.781
0.286 0.925 0.062
0.441 0.576 0.216
0.576 0.216 0.441
0.219 0.994 0.364
0.077 0.937 0.713
0.364 0.219 0.994
0.638 0.781 0.001
0.925 0.062 0.286
0.781 0.001 0.638
0.423 0.784 0.563
0.563 0.423 0.784
0.713 0.077 0.937
0.994 0.364 0.219
0.784 0.563 0.423
0.493 0.721 0.862
0.937 0.713 0.077
0.721 0.862 0.493
0.862 0.493 0.721
```

## Properties
- Space-group type: No. 146
- Crystal system: trigonal

3.
# Li2Fe3F8

Crystalline Li2Fe3F8 at its relaxed geometry (GGA+U, Materials Project).

Cell and atoms, written as POSCAR:
```
Li2Fe3F8
1.0
-3.044 -7.023 8.605
5.408 1.693 3.294
-3.671 7.004 4.418
Li Fe F
8 12 32
Direct
0.618 0.099 0.073
0.882 0.599 0.073
0.428 0.298 0.401
0.072 0.798 0.401
0.928 0.202 0.599
0.572 0.702 0.599
0.118 0.401 0.927
0.382 0.901 0.927
0.398 0.360 0.065
0.102 0.860 0.065
0.097 0.316 0.260
0.403 0.816 0.260
0.704 0.358 0.362
0.796 0.858 0.362
0.204 0.142 0.638
0.296 0.642 0.638
0.597 0.184 0.740
0.903 0.684 0.740
0.898 0.140 0.935
0.602 0.640 0.935
0.581 0.384 0.098
0.222 0.362 0.088
0.960 0.335 0.089
0.919 0.884 0.098
0.278 0.862 0.088
0.540 0.835 0.089
0.716 0.085 0.237
0.097 0.020 0.256
0.784 0.585 0.237
0.409 0.116 0.257
0.403 0.520 0.256
0.091 0.616 0.257
0.813 0.145 0.472
0.573 0.252 0.501
0.687 0.645 0.472
0.927 0.752 0.501
0.073 0.248 0.499
0.313 0.355 0.528
0.427 0.748 0.499
0.187 0.855 0.528
0.909 0.384 0.743
0.597 0.480 0.744
0.591 0.884 0.743
0.216 0.415 0.763
0.903 0.980 0.744
0.284 0.915 0.763
0.460 0.165 0.911
0.722 0.138 0.912
0.081 0.116 0.902
0.040 0.665 0.911
0.778 0.638 0.912
0.419 0.616 0.902
```

## Properties
- Space-group type: No. 14
- Offset from the most stable computed form: 64 meV per atom
- Crystal system: monoclinic

Calculated values (eV/atom) of energy of formation from the pure elements for the records, taken in order: -1.2135; -2.5794; -2.6771.